No. 1
Density functional theory data (GGA-PBE) for an optimized crystal structure of Cs2LiEuCl6.

POSCAR file:
```
Cs2LiEuCl6
1.0
0.000 5.360 5.360
5.360 0.000 5.360
5.360 5.360 0.000
Cs Li Eu Cl
2 1 1 6
Cartesian
2.680 2.680 2.680
8.041 8.041 8.041
0.000 0.000 0.000
5.360 5.360 5.360
5.360 5.360 2.633
5.360 2.633 5.360
8.088 5.360 5.360
2.633 5.360 5.360
5.360 8.088 5.360
5.360 5.360 8.088
```

Values from the calculation:
**VASP energy**: -4.45 eV per atom
**Formation energy**: -2.309 eV per atom


No. 2
Density functional theory data (GGA-PBE) for an optimized crystal structure of KZrSnF7.

POSCAR file:
```
KZrSnF7
1.0
8.543 0.000 0.000
0.000 6.053 0.000
0.000 0.000 12.673
K Zr Sn F
4 4 4 28
Cartesian
2.136 1.294 3.168
2.136 4.759 9.505
6.407 1.294 3.168
6.407 4.759 9.505
0.000 1.520 7.416
0.000 4.533 5.257
4.271 1.520 11.593
4.271 4.533 1.080
0.000 1.423 11.488
0.000 4.630 1.185
4.271 1.423 7.521
4.271 4.630 5.152
0.000 0.573 9.380
0.000 0.742 1.063
0.000 0.764 5.430
0.000 3.027 3.873
0.000 3.027 8.800
0.000 5.289 7.243
0.000 5.312 11.610
0.000 5.481 3.293
1.214 3.027 6.337
1.989 0.966 7.726
1.989 5.087 4.947
2.282 0.966 11.283
2.282 5.087 1.390
3.058 3.027 0.000
4.271 0.573 9.629
4.271 0.742 5.274
4.271 0.764 0.906
4.271 3.027 2.464
4.271 3.027 10.209
4.271 5.289 11.767
4.271 5.312 7.399
4.271 5.481 3.044
5.485 3.027 0.000
6.261 0.966 11.283
6.261 5.087 1.390
6.554 0.966 7.726
6.554 5.087 4.947
7.329 3.027 6.337
```

Values from the calculation:
**VASP energy**: -5.83 eV per atom
**Formation energy**: -3.444 eV per atom


No. 3
Density functional theory data (GGA-PBE) for an optimized crystal structure of MgHg4Te5.

POSCAR file:
```
MgHg4Te5
1.0
-2.350 2.350 16.496
2.350 -2.350 16.496
2.350 2.350 -16.496
Mg Hg Te
1 4 5
Cartesian
0.000 0.000 0.000
0.000 0.000 6.591
0.000 0.000 13.235
0.000 0.000 19.757
0.000 0.000 26.402
2.350 0.000 4.926
2.350 0.000 11.570
0.000 2.350 1.575
0.000 2.350 8.248
0.000 2.350 14.921
```

Values from the calculation:
**VASP energy**: -2.15 eV per atom
**Formation energy**: -0.503 eV per atom


No. 4
Density functional theory data (GGA-PBE) for an optimized crystal structure of CePr3O8.

POSCAR file:
```
CePr3O8
1.0
2.004 1.157 13.035
-2.004 1.157 13.035
0.000 -2.314 13.035
Ce Pr O
1 3 8
Cartesian
0.000 0.000 0.000
0.000 0.000 9.854
0.000 0.000 19.553
0.000 0.000 29.252
0.000 0.000 2.283
0.000 0.000 7.350
0.000 0.000 12.350
0.000 0.000 17.075
0.000 0.000 22.031
0.000 0.000 26.756
0.000 0.000 31.755
0.000 0.000 36.822
```

Values from the calculation:
**VASP energy**: -7.77 eV per atom
**Formation energy**: -3.240 eV per atom


no.,MP2020-corrected energy (eV per atom)
1,-4.814
2,-6.151
3,-2.357
4,-8.228